# 1
Density functional theory data (PBE-GGA) for a geometry-optimized TeAsIr structure. Values from VASP.

Output
Symmetry: P2_13

Geometry as Quantum ESPRESSO input:
```
&SYSTEM
  ibrav = 0, nat = 12, ntyp = 3
/
ATOMIC_SPECIES
Te 127.60 Te.upf
As 74.92 As.upf
Ir 192.22 Ir.upf
ATOMIC_POSITIONS crystal
Te 0.1214 0.3786 0.6214
Te 0.3786 0.6214 0.1214
Te 0.6214 0.1214 0.3786
Te 0.8786 0.8786 0.8786
As 0.1234 0.1234 0.1234
As 0.3766 0.8766 0.6234
As 0.6234 0.3766 0.8766
As 0.8766 0.6234 0.3766
Ir 0.0111 0.9889 0.4889
Ir 0.4889 0.0111 0.9889
Ir 0.5111 0.5111 0.5111
Ir 0.9889 0.4889 0.0111
CELL_PARAMETERS angstrom
6.2466 0.0000 0.0000
0.0000 6.2466 0.0000
0.0000 0.0000 6.2466
```



# 2
Density functional theory data (PBE-GGA) for a geometry-optimized Tb2Co3Si5 structure. Values from VASP.

Output
Symmetry: C2/c

Geometry as Quantum ESPRESSO input:
```
&SYSTEM
  ibrav = 0, nat = 20, ntyp = 3
/
ATOMIC_SPECIES
Tb 158.93 Tb.upf
Co 58.93 Co.upf
Si 28.09 Si.upf
ATOMIC_POSITIONS crystal
Tb 0.0984 0.3695 0.2369
Tb 0.3695 0.0984 0.7369
Tb 0.6305 0.9016 0.2631
Tb 0.9016 0.6305 0.7631
Co 0.0390 0.7632 0.3737
Co 0.2368 0.9610 0.1263
Co 0.4961 0.5039 0.2500
Co 0.5039 0.4961 0.7500
Co 0.7632 0.0390 0.8737
Co 0.9610 0.2368 0.6263
Si 0.0114 0.9886 0.7500
Si 0.2383 0.4374 0.8358
Si 0.2700 0.7300 0.7500
Si 0.2853 0.7147 0.2500
Si 0.4374 0.2383 0.3358
Si 0.5626 0.7617 0.6642
Si 0.7147 0.2853 0.7500
Si 0.7300 0.2700 0.2500
Si 0.7617 0.5626 0.1642
Si 0.9886 0.0114 0.2500
CELL_PARAMETERS angstrom
5.4090 -5.7402 0.0000
5.4090 5.7402 0.0000
-2.6532 0.0000 4.8482
```



# 3
Density functional theory data (PBE-GGA) for a geometry-optimized Mg structure. Values from VASP.

Output
Symmetry: I4/mmm

Geometry as Quantum ESPRESSO input:
```
&SYSTEM
  ibrav = 0, nat = 1, ntyp = 1
/
ATOMIC_SPECIES
Mg 24.30 Mg.upf
ATOMIC_POSITIONS crystal
Mg 0.0000 0.0000 0.0000
CELL_PARAMETERS angstrom
-1.8253 1.8253 1.7005
1.8253 -1.8253 1.7005
1.8253 1.8253 -1.7005
```



# 4
Density functional theory data (PBE-GGA) for a geometry-optimized Ca5P3O13 structure. Values from VASP.

Output
Symmetry: P6_3/m

Geometry as Quantum ESPRESSO input:
```
&SYSTEM
  ibrav = 0, nat = 42, ntyp = 3
/
ATOMIC_SPECIES
Ca 40.08 Ca.upf
P 30.97 P.upf
O 16.00 O.upf
ATOMIC_POSITIONS crystal
Ca 0.0036 0.7538 0.2500
Ca 0.2462 0.2498 0.2500
Ca 0.2498 0.0036 0.7500
Ca 0.3333 0.6667 0.0014
Ca 0.3333 0.6667 0.4986
Ca 0.6667 0.3333 0.5014
Ca 0.6667 0.3333 0.9986
Ca 0.7502 0.9964 0.2500
Ca 0.7538 0.7502 0.7500
Ca 0.9964 0.2462 0.7500
P 0.0297 0.6310 0.7500
P 0.3690 0.3987 0.7500
P 0.3987 0.0297 0.2500
P 0.6013 0.9703 0.7500
P 0.6310 0.6013 0.2500
P 0.9703 0.3690 0.2500
O 0.0000 0.0000 0.2500
O 0.0000 0.0000 0.7500
O 0.0837 0.7430 0.5697
O 0.0837 0.7430 0.9303
O 0.1250 0.5372 0.7500
O 0.1551 0.4877 0.2500
O 0.2570 0.3407 0.5697
O 0.2570 0.3407 0.9303
O 0.3326 0.8449 0.2500
O 0.3407 0.0837 0.0697
O 0.3407 0.0837 0.4303
O 0.4122 0.8750 0.7500
O 0.4628 0.5878 0.7500
O 0.4877 0.3326 0.7500
O 0.5123 0.6674 0.2500
O 0.5372 0.4122 0.2500
O 0.5878 0.1250 0.2500
O 0.6593 0.9163 0.5697
O 0.6593 0.9163 0.9303
O 0.6674 0.1551 0.7500
O 0.7430 0.6593 0.0697
O 0.7430 0.6593 0.4303
O 0.8449 0.5123 0.7500
O 0.8750 0.4628 0.2500
O 0.9163 0.2570 0.0697
O 0.9163 0.2570 0.4303
CELL_PARAMETERS angstrom
9.5341 0.0000 0.0000
-4.7671 8.2568 0.0000
0.0000 0.0000 6.9246
```



Summary of E_form in eV per atom
-0.43, -0.74, 0.03, -3.24
(order as listed above)
Summary of calculated density in g/cm3
10.76, 7.01, 1.78, 3.05
(order as listed above)